The following is a PBE with a Hubbard U calculation of NaMg14CoO16 after structural relaxation, from Materials Project.

```
NaMg14CoO16
1.0
4.3038 0.0000 0.0000
0.0000 8.4582 0.0000
0.0000 0.0000 8.5402
Na Mg Co O
1 14 1 16
Direct
0.0000 0.0000 0.0000
0.0000 0.0000 0.5000
0.0000 0.2470 0.2513
0.0000 0.2470 0.7487
0.0000 0.5000 0.5000
0.0000 0.7530 0.2513
0.0000 0.7530 0.7487
0.5000 0.0000 0.2476
0.5000 0.0000 0.7524
0.5000 0.2465 0.0000
0.5000 0.2490 0.5000
0.5000 0.5000 0.2471
0.5000 0.5000 0.7529
0.5000 0.7510 0.5000
0.5000 0.7535 0.0000
0.0000 0.5000 0.0000
0.0000 0.0000 0.2627
0.0000 0.0000 0.7373
0.0000 0.2559 0.5000
0.0000 0.2770 0.0000
0.0000 0.5000 0.2434
0.0000 0.5000 0.7566
0.0000 0.7230 0.0000
0.0000 0.7441 0.5000
0.5000 0.0000 0.0000
0.5000 0.0000 0.5000
0.5000 0.2515 0.2483
0.5000 0.2515 0.7517
0.5000 0.5000 0.0000
0.5000 0.5000 0.5000
0.5000 0.7485 0.2483
0.5000 0.7485 0.7517
```

Its space-group type is Pmmm. Its MP2020-corrected energy is -6.264 eV per atom. The value obtained for the offset from the most stable computed form is 0 kJ/mol of formula units. The value obtained for the spin magnetization is 0.062 μB/atom.



The following is a PBE with a Hubbard U calculation of Mg14NbFeO16 after structural relaxation, from Materials Project.

```
Mg14NbFeO16
1.0
4.2746 0.0000 0.0000
0.0000 8.6344 0.0000
0.0000 0.0000 8.6432
Mg Nb Fe O
14 1 1 16
Direct
0.0000 0.0000 0.0000
0.0000 0.0000 0.5000
0.0000 0.2474 0.2471
0.0000 0.2474 0.7529
0.0000 0.7526 0.2471
0.0000 0.7526 0.7529
0.5000 0.0000 0.2493
0.5000 0.0000 0.7507
0.5000 0.2448 0.5000
0.5000 0.2472 0.0000
0.5000 0.5000 0.2456
0.5000 0.5000 0.7544
0.5000 0.7528 0.0000
0.5000 0.7552 0.5000
0.0000 0.5000 0.5000
0.0000 0.5000 0.0000
0.0000 0.0000 0.2496
0.0000 0.0000 0.7504
0.0000 0.2379 0.5000
0.0000 0.2418 0.0000
0.0000 0.5000 0.2439
0.0000 0.5000 0.7561
0.0000 0.7582 0.0000
0.0000 0.7621 0.5000
0.5000 0.0000 0.0000
0.5000 0.0000 0.5000
0.5000 0.2510 0.2497
0.5000 0.2510 0.7503
0.5000 0.5000 0.0000
0.5000 0.5000 0.5000
0.5000 0.7490 0.2497
0.5000 0.7490 0.7503
```

Its space-group type is Pmmm. Its MP2020-corrected energy is -6.552 eV per atom. The value obtained for the offset from the most stable computed form is 0 kJ/mol of formula units. The value obtained for the spin magnetization is 0.182 μB/atom.



The following is a PBE with a Hubbard U calculation of Mg21FeSi12H3O48 after structural relaxation, from Materials Project.

```
Mg21FeSi12H3O48
1.0
5.8165 0.0000 0.0000
2.8966 7.1947 0.0000
0.7022 -0.0097 20.9025
Mg Fe Si H O
21 1 12 3 48
Direct
0.0000 0.0000 0.0000
0.0005 0.0035 0.5023
0.0894 0.3325 0.0452
0.1496 0.6796 0.0903
0.1702 0.4078 0.2113
0.2403 0.6283 0.5761
0.2500 0.0094 0.6246
0.3148 0.3680 0.6796
0.3846 0.8020 0.4204
0.4092 0.7312 0.7144
0.4284 0.6583 0.9649
0.4845 0.0555 0.7664
0.5097 0.9926 0.2286
0.5728 0.3372 0.0498
0.6764 0.6861 0.8361
0.6895 0.3162 0.2774
0.7054 0.0756 0.6170
0.8475 0.3229 0.9175
0.8522 0.7147 0.6642
0.8602 0.3236 0.4146
0.9194 0.6594 0.9652
0.6838 0.6749 0.3168
0.0392 0.9159 0.3163
0.1045 0.8084 0.8305
0.2343 0.5322 0.3650
0.2929 0.4413 0.8544
0.4661 0.0808 0.9259
0.4813 0.0913 0.4758
0.5332 0.9208 0.0733
0.6570 0.7443 0.5280
0.6927 0.5857 0.1592
0.8025 0.4175 0.5849
0.8504 0.3130 0.7501
0.9502 0.1027 0.1608
0.0935 0.4871 0.4638
0.2434 0.8317 0.1776
0.7697 0.1555 0.8301
0.0078 0.5010 0.8836
0.0349 0.4623 0.6213
0.0745 0.8666 0.1622
0.1027 0.7750 0.3786
0.1032 0.8101 0.9102
0.1324 0.8008 0.6589
0.1375 0.2255 0.7233
0.1520 0.1609 0.1994
0.1835 0.1565 0.9586
0.2186 0.1100 0.4420
0.2293 0.5771 0.7892
0.2440 0.5144 0.0129
0.2563 0.4580 0.4424
0.3267 0.4235 0.2926
0.3293 0.8659 0.7998
0.3379 0.8616 0.2880
0.3389 0.8380 0.0414
0.3426 0.7798 0.5135
0.4114 0.2053 0.8529
0.4233 0.1445 0.0776
0.4460 0.0800 0.5542
0.4824 0.5146 0.1340
0.5083 0.5036 0.8843
0.5329 0.3871 0.6073
0.5354 0.5441 0.3712
0.5472 0.9385 0.6808
0.5760 0.8216 0.1499
0.5780 0.8525 0.9201
0.6096 0.6656 0.6039
0.6404 0.2388 0.7235
0.6554 0.8601 0.4546
0.6703 0.1538 0.9574
0.6863 0.1628 0.2016
0.6925 0.1765 0.4596
0.7406 0.5450 0.7467
0.7597 0.5258 0.2350
0.7608 0.4773 0.9980
0.8096 0.5052 0.5071
0.8190 0.8374 0.0420
0.8252 0.8801 0.8041
0.8261 0.8498 0.2823
0.8810 0.2250 0.8261
0.8829 0.8175 0.5547
0.9114 0.1668 0.0854
0.9145 0.1356 0.3335
0.9490 0.5157 0.3588
0.9511 0.1756 0.5799
0.9779 0.5097 0.1287
```

Its space-group type is P1. Its MP2020-corrected energy is -7.053 eV per atom. The value obtained for the offset from the most stable computed form is 151 kJ/mol of formula units. The value obtained for the spin magnetization is 0.059 μB/atom.



The following is a PBE with a Hubbard U calculation of LiVF4 after structural relaxation, from Materials Project.

```
LiVF4
1.0
11.1752 0.0000 0.0000
0.0000 15.4621 0.0000
0.0000 0.0000 3.9756
Li V F
8 8 32
Direct
0.0000 0.0000 0.0000
0.0000 0.5000 0.0000
0.2500 0.1036 0.4846
0.2500 0.3964 0.4846
0.5000 0.0000 0.0000
0.5000 0.5000 0.0000
0.7500 0.6036 0.5154
0.7500 0.8964 0.5154
0.0172 0.2500 0.2172
0.2500 0.5817 0.7388
0.2500 0.9183 0.7388
0.4828 0.2500 0.2172
0.5172 0.7500 0.7827
0.7500 0.0817 0.2612
0.7500 0.4183 0.2612
0.9828 0.7500 0.7827
0.0144 0.2500 0.7180
0.1172 0.6637 0.7756
0.1172 0.8363 0.7756
0.1260 0.1545 0.2201
0.1260 0.3455 0.2201
0.1303 0.0119 0.7143
0.1303 0.4881 0.7143
0.2500 0.5780 0.2398
0.2500 0.9220 0.2398
0.3697 0.0119 0.7143
0.3697 0.4881 0.7143
0.3740 0.1545 0.2201
0.3740 0.3455 0.2201
0.3828 0.6637 0.7756
0.3828 0.8363 0.7756
0.4856 0.2500 0.7180
0.5144 0.7500 0.2820
0.6172 0.1637 0.2244
0.6172 0.3363 0.2244
0.6260 0.6545 0.7799
0.6260 0.8455 0.7799
0.6303 0.5119 0.2857
0.6303 0.9881 0.2857
0.7500 0.0780 0.7602
0.7500 0.4220 0.7602
0.8697 0.5119 0.2857
0.8697 0.9881 0.2857
0.8740 0.6545 0.7799
0.8740 0.8455 0.7799
0.8828 0.1637 0.2244
0.8828 0.3363 0.2244
0.9856 0.7500 0.2820
```

Its space-group type is Pmmn. Its MP2020-corrected energy is -6.246 eV per atom. The value obtained for the offset from the most stable computed form is 47 kJ/mol of formula units. The value obtained for the spin magnetization is 0.333 μB/atom.



The following is a PBE with a Hubbard U calculation of LiV5O10 after structural relaxation, from Materials Project.

```
LiV5O10
1.0
2.6348 -6.9154 0.0000
2.6348 6.9154 0.0000
-2.5963 0.0000 4.8607
Li V O
1 5 10
Direct
0.0000 0.0000 0.0000
0.0907 0.9093 0.5000
0.3897 0.6103 0.0000
0.4740 0.5260 0.5000
0.6943 0.3057 0.5000
0.7777 0.2223 0.0000
0.0042 0.4308 0.8067
0.1645 0.3900 0.2081
0.2634 0.2993 0.7196
0.3139 0.1537 0.3072
0.4597 0.0891 0.7149
0.5692 0.9958 0.1933
0.6100 0.8355 0.7919
0.7007 0.7366 0.2804
0.8463 0.6861 0.6928
0.9109 0.5403 0.2851
```

Its space-group type is C2. Its MP2020-corrected energy is -8.483 eV per atom. The value obtained for the offset from the most stable computed form is 0 kJ/mol of formula units. The value obtained for the spin magnetization is 0.375 μB/atom.



The following is a PBE with a Hubbard U calculation of Li6ScFe5Si12O36 after structural relaxation, from Materials Project.

```
Li6ScFe5Si12O36
1.0
6.6189 0.0000 0.0000
2.1259 9.3061 0.0000
2.0929 1.9997 10.6454
Li Sc Fe Si O
6 1 5 12 36
Direct
0.0000 0.0000 0.0000
0.0003 0.3326 0.3306
0.0021 0.6623 0.6624
0.4946 0.1695 0.6621
0.4985 0.5002 0.9975
0.4992 0.8325 0.3302
0.8521 0.9303 0.7818
0.6453 0.2360 0.8807
0.6463 0.9009 0.5444
0.6468 0.5674 0.2138
0.8522 0.2638 0.1154
0.8533 0.5979 0.4478
0.1355 0.6311 0.1725
0.1358 0.9642 0.5030
0.1365 0.2956 0.8398
0.3628 0.2004 0.1564
0.3649 0.5333 0.4892
0.3670 0.8673 0.8227
0.5424 0.5818 0.7153
0.5432 0.2478 0.3818
0.5432 0.9154 0.0511
0.9566 0.2517 0.6126
0.9569 0.9172 0.2785
0.9581 0.5792 0.9478
0.1004 0.1318 0.5291
0.1023 0.8008 0.1923
0.1047 0.6306 0.0283
0.1046 0.9681 0.3582
0.1055 0.2988 0.6946
0.1069 0.4633 0.8629
0.1234 0.2836 0.1464
0.1256 0.6160 0.4786
0.1285 0.9511 0.8158
0.3752 0.5486 0.1829
0.3759 0.2122 0.8494
0.3760 0.8821 0.5120
0.3929 0.0313 0.1360
0.3942 0.1999 0.3008
0.3952 0.5326 0.6338
0.3963 0.6991 0.8001
0.3986 0.3638 0.4686
0.4046 0.8634 0.9664
0.5449 0.9460 0.7210
0.5463 0.2786 0.0583
0.5488 0.6112 0.3913
0.6345 0.4439 0.8172
0.6353 0.7760 0.1518
0.6369 0.1088 0.4819
0.7176 0.0011 0.9530
0.7188 0.3313 0.2815
0.7186 0.6645 0.6140
0.7769 0.1731 0.7129
0.7812 0.4975 0.0488
0.7822 0.8331 0.3794
0.8624 0.0560 0.1784
0.8635 0.7163 0.8472
0.8676 0.3898 0.5102
0.9508 0.2195 0.9375
0.9515 0.5535 0.2705
0.9543 0.8832 0.5990
```

Its space-group type is P1. Its MP2020-corrected energy is -7.908 eV per atom. The value obtained for the spin magnetization is 0.417 μB/atom.



The following is a PBE with a Hubbard U calculation of Li2CoSnP2O8 after structural relaxation, from Materials Project.

```
Li2CoSnP2O8
1.0
4.8382 0.0000 0.0000
0.0059 6.2707 0.0000
0.1639 0.0007 22.6287
Li Co Sn P O
8 4 4 8 32
Direct
0.0000 0.0000 0.0000
0.0000 0.0000 0.5000
0.0000 0.5000 0.0000
0.0000 0.5000 0.5000
0.4944 0.0033 0.2484
0.4937 0.4965 0.7484
0.5063 0.5035 0.2516
0.5056 0.9967 0.7516
0.4356 0.2501 0.1032
0.4357 0.2499 0.6032
0.5643 0.7501 0.3968
0.5644 0.7499 0.8968
0.0151 0.2500 0.3626
0.0151 0.2502 0.8626
0.9849 0.7498 0.1374
0.9849 0.7500 0.6374
0.1524 0.7494 0.3107
0.1523 0.7503 0.8107
0.4203 0.7500 0.0374
0.4204 0.7500 0.5374
0.5796 0.2500 0.4626
0.5797 0.2500 0.9626
0.8477 0.2497 0.1893
0.8476 0.2506 0.6893
0.1621 0.2482 0.1798
0.1621 0.2530 0.6799
0.2442 0.7500 0.7449
0.2447 0.7513 0.2449
0.2613 0.2501 0.4577
0.2614 0.2502 0.9577
0.2859 0.5494 0.0688
0.2863 0.5492 0.5687
0.2857 0.9504 0.5689
0.2859 0.9506 0.0688
0.2964 0.9462 0.3411
0.2979 0.5529 0.8406
0.2999 0.9470 0.8405
0.3011 0.5522 0.3401
0.3083 0.7500 0.9733
0.3081 0.7506 0.4733
0.6919 0.2494 0.5267
0.6917 0.2500 0.0267
0.6989 0.4478 0.6599
0.7001 0.0530 0.1595
0.7021 0.4471 0.1594
0.7036 0.0538 0.6589
0.7141 0.0494 0.9312
0.7143 0.0496 0.4311
0.7137 0.4508 0.4313
0.7141 0.4506 0.9312
0.7386 0.7498 0.0423
0.7387 0.7499 0.5423
0.7553 0.2487 0.7551
0.7558 0.2500 0.2551
0.8379 0.7470 0.3201
0.8379 0.7518 0.8202
```

Its space-group type is P-1. Its MP2020-corrected energy is -7.027 eV per atom. The value obtained for the offset from the most stable computed form is 8 kJ/mol of formula units. The value obtained for the spin magnetization is 0.214 μB/atom.



The following is a PBE with a Hubbard U calculation of Mg14CoBiO16 after structural relaxation, from Materials Project.

```
Mg14CoBiO16
1.0
4.3821 0.0000 0.0000
0.0000 8.6945 0.0000
0.0000 0.0000 8.7186
Mg Co Bi O
14 1 1 16
Direct
0.0000 0.0000 0.0000
0.0000 0.0000 0.5000
0.0000 0.2455 0.2370
0.0000 0.2455 0.7630
0.0000 0.7545 0.2370
0.0000 0.7545 0.7630
0.5000 0.0000 0.2454
0.5000 0.0000 0.7546
0.5000 0.2359 0.5000
0.5000 0.2529 0.0000
0.5000 0.5000 0.2290
0.5000 0.5000 0.7710
0.5000 0.7471 0.0000
0.5000 0.7641 0.5000
0.0000 0.5000 0.0000
0.0000 0.5000 0.5000
0.0000 0.0000 0.2501
0.0000 0.0000 0.7499
0.0000 0.2315 0.5000
0.0000 0.2329 0.0000
0.0000 0.5000 0.2396
0.0000 0.5000 0.7604
0.0000 0.7671 0.0000
0.0000 0.7685 0.5000
0.5000 0.0000 0.0000
0.5000 0.0000 0.5000
0.5000 0.2512 0.2515
0.5000 0.2512 0.7485
0.5000 0.5000 0.0000
0.5000 0.5000 0.5000
0.5000 0.7488 0.2515
0.5000 0.7488 0.7485
```

Its space-group type is Pmmm. Its MP2020-corrected energy is -6.216 eV per atom. The value obtained for the offset from the most stable computed form is 13 kJ/mol of formula units. The value obtained for the spin magnetization is 0.062 μB/atom.



Question: The highest spin magnetization belongs to which entry?
Answer: Li6ScFe5Si12O36



Question: The lowest spin magnetization belongs to which entry?
Answer: Mg21FeSi12H3O48